# Rb12LiCl4O4

A relaxed structure of Rb12LiCl4O4 (PBE, Materials Project).

crystal system: triclinic
excess energy over the best structure of this formula in the dataset: 0.55 eV per formula unit
DFT total energy: -3.17 eV/atom

a = 7.7217 Å, b = 8.3581 Å, c = 10.9336 Å
α = 90.73°, β = 88.52°, γ = 88.54°
Closest atoms and distances in Å follow each position.
Fractional coordinates of all 21 atoms:
1 Rb 0.4498 0.0015 0.2434  2 O 2.79-2.95
2 Rb 0.2281 0.2443 0.9480  1 O 2.71
3 Rb 0.2095 0.2086 0.5593  2 O 2.84-3.03
4 Rb 0.2877 0.7098 0.5242  2 O 2.90-3.07
5 Rb 0.2532 0.7114 0.9845  1 O 2.73
6 Rb 0.6823 0.3388 0.0306  2 O 2.72-2.80, 1 Li 2.92
7 Rb 0.7681 0.7281 0.0739  2 O 2.74-2.86, 1 Li 2.79
8 Rb 0.7898 0.7932 0.4438  2 O 2.87-2.93
9 Rb 0.5788 0.9868 0.7460  2 O 2.79-2.83
10 Rb 0.0781 0.4278 0.2593  2 O 2.75-2.93
11 Rb 0.9204 0.5477 0.7469  2 O 2.77-2.93
12 Rb 0.6902 0.3089 0.4845  2 O 2.89-2.91
13 Cl 0.0231 0.9565 0.7965  1 Li 2.43
14 Cl 0.0341 0.0132 0.1545  1 Li 2.45
15 Cl 0.4822 0.4830 0.7686  6 Rb 3.43-3.72
16 Cl 0.4818 0.5696 0.2506  4 Rb 3.22-3.49
17 O 0.0007 0.4893 0.0032  6 Rb 2.71-2.93
18 O 0.9934 0.5037 0.4997  6 Rb 2.75-3.03
19 O 0.6154 0.0239 0.9978  1 Li 1.79
20 O 0.5032 0.0116 0.4951  6 Rb 2.79-3.07
21 Li 0.8466 0.0257 0.9776  1 O 1.79